# 1
CaFe4P4O16 | GGA+U | relaxed

Relative energy among the computed polymorphs: 0.00 eV per formula unit
Calculated formation energy: -2.45 eV/atom
Size of the total moment: 18.0 Bohr magnetons per cell
Space group: No. 1
Density: 2.57 g/cm³
Raw total energy: -7.1173 eV per atom
E (MP2020): -197.948 eV/cell

abc: 5.456 8.712 8.956
angles: 92.17 93.25 102.02
Element x y z (fractional)
Ca 0.000 0.000 0.000
Fe 0.292 0.686 0.018
Fe 0.309 0.229 0.485
Fe 0.719 0.321 0.006
Fe 0.725 0.798 0.524
P 0.206 0.321 0.158
P 0.211 0.854 0.340
P 0.754 0.679 0.850
P 0.826 0.171 0.672
O 0.037 0.759 0.865
O 0.060 0.274 0.608
O 0.167 0.839 0.168
O 0.178 0.474 0.087
O 0.227 0.027 0.391
O 0.330 0.359 0.320
O 0.361 0.225 0.065
O 0.456 0.799 0.384
O 0.591 0.228 0.614
O 0.621 0.793 0.940
O 0.654 0.663 0.682
O 0.692 0.517 0.914
O 0.817 0.998 0.622
O 0.847 0.180 0.844
O 0.936 0.215 0.156
O 0.990 0.751 0.415

***

# 2
CaFe5P5O22 | GGA+U | relaxed

Calculated formation energy: -2.29 eV/atom
Size of the total moment: 14.0 Bohr magnetons per cell
Space group: No. 2
Density: 3.47 g/cm³
Raw total energy: -6.9569 eV per atom
E (MP2020): -511.945 eV/cell

abc: 6.443 7.930 15.830
angles: 95.30 90.32 100.94
Element x y z (fractional)
Ca 0.023 0.097 0.141
Ca 0.977 0.903 0.859
Fe 0.038 0.707 0.488
Fe 0.287 0.231 0.758
Fe 0.287 0.731 0.006
Fe 0.394 0.397 0.281
Fe 0.403 0.899 0.631
Fe 0.597 0.101 0.369
Fe 0.606 0.603 0.719
Fe 0.713 0.269 0.994
Fe 0.713 0.769 0.242
Fe 0.962 0.293 0.512
P 0.084 0.024 0.360
P 0.087 0.554 0.679
P 0.209 0.310 0.956
P 0.466 0.287 0.560
P 0.487 0.062 0.152
P 0.513 0.938 0.848
P 0.534 0.713 0.440
P 0.791 0.690 0.044
P 0.913 0.446 0.321
P 0.916 0.976 0.640
O 0.015 0.524 0.582
O 0.018 0.032 0.729
O 0.024 0.237 0.014
O 0.075 0.361 0.270
O 0.077 0.876 0.593
O 0.117 0.385 0.710
O 0.117 0.873 0.407
O 0.161 0.201 0.869
O 0.212 0.594 0.113
O 0.213 0.500 0.944
O 0.257 0.289 0.516
O 0.305 0.144 0.353
O 0.307 0.682 0.687
O 0.316 0.936 0.097
O 0.317 0.869 0.899
O 0.372 0.209 0.186
O 0.379 0.767 0.510
O 0.415 0.278 0.994
O 0.424 0.147 0.626
O 0.434 0.541 0.392
O 0.437 0.020 0.769
O 0.485 0.583 0.216
O 0.515 0.417 0.784
O 0.563 0.980 0.231
O 0.566 0.459 0.608
O 0.576 0.853 0.374
O 0.585 0.722 0.006
O 0.621 0.233 0.490
O 0.628 0.791 0.814
O 0.683 0.131 0.101
O 0.684 0.064 0.903
O 0.693 0.318 0.313
O 0.695 0.856 0.647
O 0.743 0.711 0.484
O 0.787 0.500 0.056
O 0.788 0.406 0.887
O 0.839 0.799 0.131
O 0.883 0.127 0.593
O 0.883 0.615 0.290
O 0.923 0.124 0.407
O 0.925 0.639 0.730
O 0.976 0.763 0.986
O 0.982 0.968 0.271
O 0.985 0.476 0.418

***

# 3
Ca9FeP7O28 | GGA+U | relaxed

Calculated formation energy: -3.17 eV/atom
Size of the total moment: 2.0 Bohr magnetons per cell
Space group: No. 161
Density: 3.04 g/cm³
Raw total energy: -7.1998 eV per atom
E (MP2020): -690.963 eV/cell

abc: 13.871 13.871 13.871
angles: 44.24 44.24 44.24
Element x y z (fractional)
Ca 0.043 0.466 0.491
Ca 0.244 0.819 0.834
Ca 0.319 0.744 0.334
Ca 0.334 0.319 0.744
Ca 0.348 0.926 0.944
Ca 0.426 0.848 0.444
Ca 0.444 0.426 0.848
Ca 0.466 0.491 0.043
Ca 0.491 0.043 0.466
Ca 0.543 0.991 0.966
Ca 0.744 0.334 0.319
Ca 0.819 0.834 0.244
Ca 0.834 0.244 0.819
Ca 0.848 0.444 0.426
Ca 0.926 0.944 0.348
Ca 0.944 0.348 0.926
Ca 0.966 0.543 0.991
Ca 0.991 0.966 0.543
Fe 0.398 0.398 0.398
Fe 0.898 0.898 0.898
P 0.077 0.587 0.622
P 0.087 0.577 0.122
P 0.122 0.087 0.577
P 0.129 0.129 0.129
P 0.178 0.710 0.213
P 0.210 0.678 0.713
P 0.213 0.178 0.710
P 0.577 0.122 0.087
P 0.587 0.622 0.077
P 0.622 0.077 0.587
P 0.629 0.629 0.629
P 0.678 0.713 0.210
P 0.710 0.213 0.178
P 0.713 0.210 0.678
O 0.005 0.288 0.131
O 0.006 0.750 0.306
O 0.010 0.563 0.283
O 0.016 0.758 0.023
O 0.023 0.016 0.758
O 0.028 0.760 0.542
O 0.032 0.767 0.784
O 0.041 0.495 0.135
O 0.042 0.260 0.528
O 0.044 0.234 0.763
O 0.063 0.510 0.783
O 0.087 0.087 0.087
O 0.131 0.005 0.288
O 0.135 0.041 0.495
O 0.213 0.784 0.224
O 0.224 0.213 0.784
O 0.234 0.763 0.044
O 0.250 0.506 0.806
O 0.258 0.516 0.523
O 0.260 0.528 0.042
O 0.263 0.734 0.544
O 0.267 0.532 0.284
O 0.283 0.010 0.563
O 0.284 0.267 0.531
O 0.284 0.713 0.724
O 0.288 0.131 0.005
O 0.306 0.006 0.750
O 0.495 0.135 0.041
O 0.505 0.631 0.788
O 0.506 0.806 0.250
O 0.510 0.783 0.063
O 0.516 0.523 0.258
O 0.523 0.258 0.516
O 0.528 0.042 0.260
O 0.532 0.284 0.267
O 0.541 0.635 0.995
O 0.542 0.028 0.760
O 0.544 0.263 0.734
O 0.563 0.283 0.010
O 0.587 0.587 0.587
O 0.631 0.788 0.505
O 0.635 0.995 0.541
O 0.713 0.724 0.284
O 0.724 0.284 0.713
O 0.734 0.544 0.263
O 0.750 0.306 0.006
O 0.758 0.023 0.016
O 0.760 0.542 0.028
O 0.763 0.044 0.234
O 0.767 0.784 0.031
O 0.783 0.063 0.510
O 0.784 0.032 0.767
O 0.784 0.224 0.213
O 0.788 0.505 0.631
O 0.806 0.250 0.506
O 0.995 0.541 0.635

***

# 4
CaFe2P2O10 | GGA+U | relaxed

Calculated formation energy: -2.31 eV/atom
Size of the total moment: 16.0 Bohr magnetons per cell
Space group: No. 43
Density: 3.65 g/cm³
Raw total energy: -6.8314 eV per atom
E (MP2020): -227.707 eV/cell

abc: 8.645 6.966 9.816
angles: 59.14 43.77 77.09
Element x y z (fractional)
Ca 0.000 0.000 0.000
Ca 0.250 0.250 0.250
Fe 0.127 0.625 0.623
Fe 0.625 0.127 0.624
Fe 0.626 0.627 0.625
Fe 0.627 0.626 0.123
P 0.044 0.459 0.041
P 0.209 0.793 0.206
P 0.459 0.044 0.457
P 0.793 0.209 0.791
O 0.010 0.327 0.693
O 0.071 0.391 0.898
O 0.184 0.860 0.349
O 0.243 0.923 0.555
O 0.280 0.557 0.923
O 0.327 0.010 0.970
O 0.352 0.609 0.179
O 0.391 0.071 0.641
O 0.430 0.573 0.426
O 0.557 0.280 0.240
O 0.573 0.430 0.572
O 0.609 0.352 0.859
O 0.643 0.901 0.390
O 0.678 0.824 0.677
O 0.695 0.971 0.007
O 0.824 0.678 0.820
O 0.860 0.184 0.607
O 0.901 0.643 0.066
O 0.923 0.243 0.279
O 0.971 0.695 0.327

***

# 5
CaFe2P2O8 | GGA+U | relaxed

Calculated formation energy: -2.62 eV/atom
Size of the total moment: 32.0 Bohr magnetons per cell
Space group: No. 15
Density: 3.43 g/cm³
Raw total energy: -7.1835 eV per atom
E (MP2020): -413.577 eV/cell

abc: 9.102 9.102 16.957
angles: 116.82 116.82 32.24
Element x y z (fractional)
Ca 0.019 0.667 0.859
Ca 0.333 0.981 0.641
Ca 0.667 0.019 0.359
Ca 0.981 0.333 0.141
Fe 0.000 0.500 0.000
Fe 0.123 0.693 0.539
Fe 0.161 0.839 0.750
Fe 0.307 0.877 0.961
Fe 0.500 0.000 0.500
Fe 0.693 0.123 0.039
Fe 0.839 0.161 0.250
Fe 0.877 0.307 0.461
P 0.015 0.553 0.631
P 0.273 0.696 0.389
P 0.304 0.727 0.111
P 0.447 0.985 0.869
P 0.553 0.015 0.131
P 0.696 0.273 0.889
P 0.727 0.304 0.611
P 0.985 0.447 0.369
O 0.067 0.842 0.306
O 0.107 0.453 0.715
O 0.132 0.618 0.643
O 0.141 0.700 0.039
O 0.143 0.298 0.553
O 0.155 0.680 0.428
O 0.158 0.933 0.194
O 0.201 0.305 0.895
O 0.298 0.143 0.053
O 0.300 0.859 0.461
O 0.305 0.201 0.395
O 0.320 0.845 0.072
O 0.382 0.868 0.857
O 0.388 0.571 0.867
O 0.429 0.612 0.633
O 0.453 0.107 0.215
O 0.547 0.893 0.785
O 0.571 0.388 0.367
O 0.612 0.429 0.133
O 0.618 0.132 0.143
O 0.680 0.155 0.928
O 0.695 0.799 0.605
O 0.700 0.141 0.539
O 0.702 0.857 0.947
O 0.799 0.695 0.105
O 0.842 0.067 0.806
O 0.845 0.320 0.572
O 0.857 0.702 0.447
O 0.859 0.300 0.961
O 0.868 0.382 0.357
O 0.893 0.547 0.285
O 0.933 0.158 0.694

***

# 6
CaFe3P4O14 | GGA+U | relaxed

Calculated formation energy: -2.59 eV/atom
Size of the total moment: 24.0 Bohr magnetons per cell
Space group: No. 14
Density: 3.52 g/cm³
Raw total energy: -7.2226 eV per atom
E (MP2020): -350.567 eV/cell

abc: 7.567 7.781 9.599
angles: 90.00 111.85 90.00
Element x y z (fractional)
Ca 0.000 0.000 0.000
Ca 0.000 0.500 0.500
Fe 0.310 0.124 0.473
Fe 0.310 0.376 0.973
Fe 0.500 0.000 0.000
Fe 0.500 0.500 0.500
Fe 0.690 0.624 0.027
Fe 0.690 0.876 0.527
P 0.097 0.064 0.705
P 0.097 0.436 0.205
P 0.378 0.702 0.190
P 0.378 0.798 0.690
P 0.622 0.202 0.310
P 0.622 0.298 0.810
P 0.903 0.564 0.795
P 0.903 0.936 0.295
O 0.103 0.519 0.805
O 0.103 0.981 0.305
O 0.118 0.193 0.593
O 0.118 0.307 0.093
O 0.176 0.620 0.174
O 0.176 0.880 0.674
O 0.218 0.113 0.871
O 0.218 0.387 0.371
O 0.326 0.626 0.607
O 0.326 0.874 0.107
O 0.468 0.580 0.111
O 0.468 0.920 0.611
O 0.488 0.711 0.361
O 0.488 0.789 0.861
O 0.512 0.211 0.139
O 0.512 0.289 0.639
O 0.532 0.080 0.389
O 0.532 0.420 0.889
O 0.674 0.126 0.893
O 0.674 0.374 0.393
O 0.782 0.613 0.629
O 0.782 0.887 0.129
O 0.824 0.120 0.326
O 0.824 0.380 0.826
O 0.882 0.693 0.907
O 0.882 0.807 0.407
O 0.897 0.019 0.695
O 0.897 0.481 0.195